(1)
GdIn | GGA-PBE | relaxed

Values from the calculation:
- electronic total energy (eV per atom) = -8.8910
- calculated density (g/cm³) = 8.3
- energy relative to the elements (meV per atom) = -477

The structure in CIF format:
```
data_GdIn
_chemical_formula_sum 'Gd1 In1'
_cell_length_a 3.8853
_cell_length_b 3.8853
_cell_length_c 3.6064
_cell_angle_alpha 90.00
_cell_angle_beta 90.00
_cell_angle_gamma 90.00
_space_group_name_H-M_alt 'P 4/m m m'
_space_group_IT_number 123
_space_group_name_Hall '-P 4 2'
loop_
_atom_site_label
_atom_site_type_symbol
_atom_site_fract_x
_atom_site_fract_y
_atom_site_fract_z
Gd1 Gd 0.0000 0.0000 0.0000
In1 In 0.5000 0.5000 0.5000
```

=====

(2)
HfSiO4 | GGA-PBE | relaxed

Values from the calculation:
- electronic total energy (eV per atom) = -9.0599
- calculated density (g/cm³) = 6.8
- energy relative to the elements (meV per atom) = -3656

The structure in CIF format:
```
data_HfSiO4
_chemical_formula_sum 'Hf4 Si4 O16'
_cell_length_a 6.6246
_cell_length_b 6.6246
_cell_length_c 6.0072
_cell_angle_alpha 90.00
_cell_angle_beta 90.00
_cell_angle_gamma 90.00
_space_group_name_H-M_alt 'I 41/a m d'
_space_group_IT_number 141
loop_
_space_group_symop_operation_xyz
'x,y,z'
'-x,-y,-z'
'-y+1/4,x+3/4,z+1/4'
'y+1/4,-x+3/4,-z+1/4'
'-x+1/2,-y,z+1/2'
'x+1/2,y,-z+1/2'
'y+1/4,-x+1/4,z+3/4'
'-y+1/4,x+1/4,-z+3/4'
'x,-y,-z'
'-x,y,z'
'-y+1/4,-x+1/4,-z+3/4'
'y+1/4,x+1/4,z+3/4'
'-x+1/2,y,-z+1/2'
'x+1/2,-y,z+1/2'
'y+1/4,x+3/4,-z+1/4'
'-y+1/4,-x+3/4,z+1/4'
'x+1/2,y+1/2,z+1/2'
'-x+1/2,-y+1/2,-z+1/2'
'-y+3/4,x+1/4,z+3/4'
'y+3/4,-x+1/4,-z+3/4'
'-x,-y+1/2,z'
'x,y+1/2,-z'
'y+3/4,-x+3/4,z+1/4'
'-y+3/4,x+3/4,-z+1/4'
'x+1/2,-y+1/2,-z+1/2'
'-x+1/2,y+1/2,z+1/2'
'-y+3/4,-x+3/4,-z+1/4'
'y+3/4,x+3/4,z+1/4'
'-x,y+1/2,-z'
'x,-y+1/2,z'
'y+3/4,x+1/4,-z+3/4'
'-y+3/4,-x+1/4,z+3/4'
loop_
_atom_site_label
_atom_site_type_symbol
_atom_site_fract_x
_atom_site_fract_y
_atom_site_fract_z
Hf1 Hf 0.0000 0.2500 0.3750
Si1 Si 0.0000 0.2500 0.8750
O1 O 0.0000 0.0654 0.6934
```

=====

(3)
CeHoZn2 | GGA-PBE | relaxed

Values from the calculation:
- electronic total energy (eV per atom) = -3.5275
- calculated density (g/cm³) = 7.8
- energy relative to the elements (meV per atom) = -269

The structure in CIF format:
```
data_CeHoZn2
_chemical_formula_sum 'Ce4 Ho4 Zn8'
_cell_length_a 7.1873
_cell_length_b 7.1873
_cell_length_c 7.1873
_cell_angle_alpha 90.00
_cell_angle_beta 90.00
_cell_angle_gamma 90.00
_space_group_name_H-M_alt 'F m -3 m'
_space_group_IT_number 225
_space_group_name_Hall '-F 4 2 3'
loop_
_atom_site_label
_atom_site_type_symbol
_atom_site_fract_x
_atom_site_fract_y
_atom_site_fract_z
Ce1 Ce 0.0000 0.0000 0.0000
Ho1 Ho 0.0000 0.0000 0.5000
Zn1 Zn 0.2500 0.2500 0.2500
```

=====

(4)
K2CuC4O10 | GGA-PBE | relaxed

Values from the calculation:
- electronic total energy (eV per atom) = -6.3407
- calculated density (g/cm³) = 2.2
- energy relative to the elements (meV per atom) = -1291

The structure in CIF format:
```
data_K2CuC4O10
_chemical_formula_sum 'K4 Cu2 C8 O20'
_cell_length_a 7.0892
_cell_length_b 8.7564
_cell_length_c 9.3722
_cell_angle_alpha 109.01
_cell_angle_beta 102.76
_cell_angle_gamma 97.55
_space_group_name_H-M_alt 'P -1'
_space_group_IT_number 2
loop_
_space_group_symop_operation_xyz
'x,y,z'
'-x,-y,-z'
loop_
_atom_site_label
_atom_site_type_symbol
_atom_site_fract_x
_atom_site_fract_y
_atom_site_fract_z
K1 K 0.1306 0.3194 0.3602
K2 K 0.2372 0.3641 0.9561
Cu1 Cu 0.0000 0.0000 0.0000
Cu2 Cu 0.5000 0.0000 0.5000
C1 C 0.2369 0.7189 0.3270
C2 C 0.2973 0.8199 0.0351
C3 C 0.3966 0.0104 0.1393
C4 C 0.4424 0.6764 0.3482
O1 O 0.0459 0.0170 0.8238
O2 O 0.0835 0.6104 0.2524
O3 O 0.1130 0.7901 0.9634
O4 O 0.2403 0.8762 0.3910
O5 O 0.2828 0.6708 0.6327
O6 O 0.2903 0.1152 0.1323
O7 O 0.3981 0.7139 0.0339
O8 O 0.4105 0.1972 0.5644
O9 O 0.4281 0.9563 0.7765
O10 O 0.4642 0.5347 0.2862
```

=====

What is the formula in the fourth record?
K2CuC4O10

=====

energy relative to the elements of number 2 (HfSiO4)?
-3656 meV per atom

=====

What is the formula in the fourth record?
K2CuC4O10

=====

What did the second record say?
HfSiO4 | GGA-PBE | relaxed

Values from the calculation:
- electronic total energy (eV per atom) = -9.0599
- calculated density (g/cm³) = 6.8
- energy relative to the elements (meV per atom) = -3656

The structure in CIF format:
```
data_HfSiO4
_chemical_formula_sum 'Hf4 Si4 O16'
_cell_length_a 6.6246
_cell_length_b 6.6246
_cell_length_c 6.0072
_cell_angle_alpha 90.00
_cell_angle_beta 90.00
_cell_angle_gamma 90.00
_space_group_name_H-M_alt 'I 41/a m d'
_space_group_IT_number 141
loop_
_space_group_symop_operation_xyz
'x,y,z'
'-x,-y,-z'
'-y+1/4,x+3/4,z+1/4'
'y+1/4,-x+3/4,-z+1/4'
'-x+1/2,-y,z+1/2'
'x+1/2,y,-z+1/2'
'y+1/4,-x+1/4,z+3/4'
'-y+1/4,x+1/4,-z+3/4'
'x,-y,-z'
'-x,y,z'
'-y+1/4,-x+1/4,-z+3/4'
'y+1/4,x+1/4,z+3/4'
'-x+1/2,y,-z+1/2'
'x+1/2,-y,z+1/2'
'y+1/4,x+3/4,-z+1/4'
'-y+1/4,-x+3/4,z+1/4'
'x+1/2,y+1/2,z+1/2'
'-x+1/2,-y+1/2,-z+1/2'
'-y+3/4,x+1/4,z+3/4'
'y+3/4,-x+1/4,-z+3/4'
'-x,-y+1/2,z'
'x,y+1/2,-z'
'y+3/4,-x+3/4,z+1/4'
'-y+3/4,x+3/4,-z+1/4'
'x+1/2,-y+1/2,-z+1/2'
'-x+1/2,y+1/2,z+1/2'
'-y+3/4,-x+3/4,-z+1/4'
'y+3/4,x+3/4,z+1/4'
'-x,y+1/2,-z'
'x,-y+1/2,z'
'y+3/4,x+1/4,-z+3/4'
'-y+3/4,-x+1/4,z+3/4'
loop_
_atom_site_label
_atom_site_type_symbol
_atom_site_fract_x
_atom_site_fract_y
_atom_site_fract_z
Hf1 Hf 0.0000 0.2500 0.3750
Si1 Si 0.0000 0.2500 0.8750
O1 O 0.0000 0.0654 0.6934
```